# 1
Nd7S6Cl9 | PBE | relaxed

Cell: 24.5749 6.7428 7.0185 Å, 90.00 97.76 90.00°
With the nearest neighbours (Å) after each atom.
Atoms (fractional coordinates):
Nd 0.0000 0.2112 0.2500  4 S 2.82-2.93, 2 Cl 2.89
Nd 0.0000 0.7888 0.7500  4 S 2.82-2.93, 2 Cl 2.89
Nd 0.1427 0.1957 0.8763  3 Cl 2.77-3.05, 4 S 2.78-2.90
Nd 0.1427 0.8043 0.3763  3 Cl 2.77-3.05, 4 S 2.78-2.90
Nd 0.2836 0.1955 0.3632  4 S 2.76-2.91, 3 Cl 2.87-2.99
Nd 0.2836 0.8045 0.8632  4 S 2.76-2.91, 3 Cl 2.87-2.99
Nd 0.4209 0.2172 0.0067  2 S 2.76-2.78, 5 Cl 2.84-3.04
Nd 0.4209 0.7828 0.5067  2 S 2.76-2.78, 5 Cl 2.84-3.04
Nd 0.5791 0.2172 0.4933  2 S 2.76-2.78, 5 Cl 2.84-3.04
Nd 0.5791 0.7828 0.9933  2 S 2.76-2.78, 5 Cl 2.84-3.04
Nd 0.7164 0.1955 0.1368  4 S 2.76-2.91, 3 Cl 2.87-2.99
Nd 0.7164 0.8045 0.6368  4 S 2.76-2.91, 3 Cl 2.87-2.99
Nd 0.8573 0.1957 0.6237  3 Cl 2.77-3.05, 4 S 2.78-2.90
Nd 0.8573 0.8043 0.1237  3 Cl 2.77-3.05, 4 S 2.78-2.90
S 0.0714 0.0351 0.5738  4 Nd 2.78-2.93
S 0.0714 0.9649 0.0738  4 Nd 2.78-2.93
S 0.2165 0.0519 0.6176  4 Nd 2.76-2.90
S 0.2165 0.9481 0.1176  4 Nd 2.76-2.90
S 0.3594 0.0523 0.6883  4 Nd 2.76-2.91
S 0.3594 0.9477 0.1883  4 Nd 2.76-2.91
S 0.6406 0.0523 0.8117  4 Nd 2.76-2.91
S 0.6406 0.9477 0.3117  4 Nd 2.76-2.91
S 0.7835 0.0519 0.8824  4 Nd 2.76-2.90
S 0.7835 0.9481 0.3824  4 Nd 2.76-2.90
S 0.9286 0.0351 0.9262  4 Nd 2.78-2.93
S 0.9286 0.9649 0.4262  4 Nd 2.78-2.93
Cl 0.0596 0.4563 0.9373  2 Nd 2.77-2.89
Cl 0.0596 0.5437 0.4373  2 Nd 2.77-2.89
Cl 0.1889 0.4323 0.2322  3 Nd 2.87-3.05
Cl 0.1889 0.5677 0.7322  3 Nd 2.87-3.05
Cl 0.3192 0.4163 0.0314  3 Nd 2.86-2.99
Cl 0.3192 0.5837 0.5314  3 Nd 2.86-2.99
Cl 0.4422 0.3946 0.3775  2 Nd 2.84-2.85
Cl 0.4422 0.6054 0.8775  2 Nd 2.84-2.85
Cl 0.5000 0.0516 0.7500  4 Nd 3.01-3.04
Cl 0.5000 0.9484 0.2500  4 Nd 3.01-3.04
Cl 0.5578 0.3946 0.1225  2 Nd 2.84-2.85
Cl 0.5578 0.6054 0.6225  2 Nd 2.84-2.85
Cl 0.6808 0.4163 0.4686  3 Nd 2.86-2.99
Cl 0.6808 0.5837 0.9686  3 Nd 2.86-2.99
Cl 0.8111 0.4323 0.2678  3 Nd 2.87-3.05
Cl 0.8111 0.5677 0.7678  3 Nd 2.87-3.05
Cl 0.9404 0.4563 0.5627  2 Nd 2.77-2.89
Cl 0.9404 0.5437 0.0627  2 Nd 2.77-2.89

Computed properties:
- energy with MP2020 corrections (eV per cell) = -262.46
- SG = P2/c (13)
- energy relative to the elements (eV/atom) = -2.564
- final energy (eV per cell) = -245.37



# 2
Nd2Bi | PBE | relaxed

Cell: 4.6466 4.6466 18.2211 Å, 90.00 90.00 90.00°
With the nearest neighbours (Å) after each atom.
Atoms (fractional coordinates):
Nd 0.0000 0.0000 0.1792  5 Bi 3.31-3.37
Nd 0.0000 0.0000 0.8208  5 Bi 3.31-3.37
Nd 0.0000 0.5000 0.0000  4 Nd 3.29, 4 Bi 3.44
Nd 0.0000 0.5000 0.5000  4 Nd 3.29, 4 Bi 3.44
Nd 0.5000 0.0000 0.0000  4 Nd 3.29, 4 Bi 3.44
Nd 0.5000 0.0000 0.5000  4 Nd 3.29, 4 Bi 3.44
Nd 0.5000 0.5000 0.3208  5 Bi 3.31-3.37
Nd 0.5000 0.5000 0.6792  5 Bi 3.31-3.37
Bi 0.0000 0.0000 0.3610  9 Nd 3.31-3.44
Bi 0.0000 0.0000 0.6390  9 Nd 3.31-3.44
Bi 0.5000 0.5000 0.1390  9 Nd 3.31-3.44
Bi 0.5000 0.5000 0.8610  9 Nd 3.31-3.44

Computed properties:
- SG = I4/mmm (139)
- energy relative to the elements (eV/atom) = -0.670
- final energy (eV per cell) = -61.74



# 3
Ba8Sc3Pt4O18 | PBE | relaxed

Cell: 8.2772 8.2772 8.2772 Å, 90.00 90.00 90.00°
With the nearest neighbours (Å) after each atom.
Atoms (fractional coordinates):
Ba 0.2386 0.2386 0.2386  9 O 2.79-2.93
Ba 0.2386 0.2386 0.7614  9 O 2.79-2.93
Ba 0.2386 0.7614 0.2386  9 O 2.79-2.93
Ba 0.2386 0.7614 0.7614  9 O 2.79-2.93
Ba 0.7614 0.2386 0.2386  9 O 2.79-2.93
Ba 0.7614 0.2386 0.7614  9 O 2.79-2.93
Ba 0.7614 0.7614 0.2386  9 O 2.79-2.93
Ba 0.7614 0.7614 0.7614  9 O 2.79-2.93
Sc 0.0000 0.0000 0.5000  6 O 2.11
Sc 0.0000 0.5000 0.0000  6 O 2.11
Sc 0.5000 0.0000 0.0000  6 O 2.11
Pt 0.0000 0.0000 0.0000  6 O 2.03
Pt 0.0000 0.5000 0.5000  4 O 2.03
Pt 0.5000 0.0000 0.5000  4 O 2.03
Pt 0.5000 0.5000 0.0000  4 O 2.03
O 0.0000 0.0000 0.2455  1 Pt 2.03, 1 Sc 2.11
O 0.0000 0.0000 0.7545  1 Pt 2.03, 1 Sc 2.11
O 0.0000 0.2455 0.0000  1 Pt 2.03, 1 Sc 2.11
O 0.0000 0.2546 0.5000  1 Pt 2.03, 1 Sc 2.11
O 0.0000 0.5000 0.2546  1 Pt 2.03, 1 Sc 2.11
O 0.0000 0.5000 0.7454  1 Pt 2.03, 1 Sc 2.11
O 0.0000 0.7454 0.5000  1 Pt 2.03, 1 Sc 2.11
O 0.0000 0.7545 0.0000  1 Pt 2.03, 1 Sc 2.11
O 0.2455 0.0000 0.0000  1 Pt 2.03, 1 Sc 2.11
O 0.2546 0.0000 0.5000  1 Pt 2.03, 1 Sc 2.11
O 0.2546 0.5000 0.0000  1 Pt 2.03, 1 Sc 2.11
O 0.5000 0.0000 0.2546  1 Pt 2.03, 1 Sc 2.11
O 0.5000 0.0000 0.7454  1 Pt 2.03, 1 Sc 2.11
O 0.5000 0.2546 0.0000  1 Pt 2.03, 1 Sc 2.11
O 0.5000 0.7454 0.0000  1 Pt 2.03, 1 Sc 2.11
O 0.7454 0.0000 0.5000  1 Pt 2.03, 1 Sc 2.11
O 0.7454 0.5000 0.0000  1 Pt 2.03, 1 Sc 2.11
O 0.7545 0.0000 0.0000  1 Pt 2.03, 1 Sc 2.11

Computed properties:
- energy with MP2020 corrections (eV per cell) = -235.67
- SG = Pm-3m (221)
- energy relative to the elements (eV/atom) = -2.666
- final energy (eV per cell) = -223.30



# 4
ErZnPd2 | PBE | relaxed

Cell: 6.5835 6.5835 6.5835 Å, 90.00 90.00 90.00°
With the nearest neighbours (Å) after each atom.
Atoms (fractional coordinates):
Er 0.0000 0.0000 0.0000  8 Pd 2.85
Er 0.0000 0.5000 0.5000  8 Pd 2.85
Er 0.5000 0.0000 0.5000  8 Pd 2.85
Er 0.5000 0.5000 0.0000  8 Pd 2.85
Zn 0.0000 0.0000 0.5000  8 Pd 2.85
Zn 0.0000 0.5000 0.0000  8 Pd 2.85
Zn 0.5000 0.0000 0.0000  8 Pd 2.85
Zn 0.5000 0.5000 0.5000  8 Pd 2.85
Pd 0.2500 0.2500 0.2500  4 Er 2.85, 4 Zn 2.85
Pd 0.2500 0.2500 0.7500  4 Er 2.85, 4 Zn 2.85
Pd 0.2500 0.7500 0.2500  4 Er 2.85, 4 Zn 2.85
Pd 0.2500 0.7500 0.7500  4 Er 2.85, 4 Zn 2.85
Pd 0.7500 0.2500 0.2500  4 Er 2.85, 4 Zn 2.85
Pd 0.7500 0.2500 0.7500  4 Er 2.85, 4 Zn 2.85
Pd 0.7500 0.7500 0.2500  4 Er 2.85, 4 Zn 2.85
Pd 0.7500 0.7500 0.7500  4 Er 2.85, 4 Zn 2.85

Computed properties:
- SG = Fm-3m (225)
- energy relative to the elements (eV/atom) = -0.767
- final energy (eV per cell) = -77.02



# 5
Sc2IrPd | PBE | relaxed

Cell: 6.5458 6.5458 6.5458 Å, 90.00 90.00 90.00°
With the nearest neighbours (Å) after each atom.
Atoms (fractional coordinates):
Sc 0.2500 0.2500 0.2500  4 Ir 2.83, 4 Pd 2.83
Sc 0.2500 0.2500 0.7500  4 Ir 2.83, 4 Pd 2.83
Sc 0.2500 0.7500 0.2500  4 Ir 2.83, 4 Pd 2.83
Sc 0.2500 0.7500 0.7500  4 Ir 2.83, 4 Pd 2.83
Sc 0.7500 0.2500 0.2500  4 Ir 2.83, 4 Pd 2.83
Sc 0.7500 0.2500 0.7500  4 Ir 2.83, 4 Pd 2.83
Sc 0.7500 0.7500 0.2500  4 Ir 2.83, 4 Pd 2.83
Sc 0.7500 0.7500 0.7500  4 Ir 2.83, 4 Pd 2.83
Ir 0.0000 0.0000 0.0000  8 Sc 2.83
Ir 0.0000 0.5000 0.5000  8 Sc 2.83
Ir 0.5000 0.0000 0.5000  8 Sc 2.83
Ir 0.5000 0.5000 0.0000  8 Sc 2.83
Pd 0.0000 0.0000 0.5000  8 Sc 2.83
Pd 0.0000 0.5000 0.0000  8 Sc 2.83
Pd 0.5000 0.0000 0.0000  8 Sc 2.83
Pd 0.5000 0.5000 0.5000  8 Sc 2.83

Computed properties:
- SG = Fm-3m (225)
- energy relative to the elements (eV/atom) = -1.000
- final energy (eV per cell) = -122.74



# 6
Rb2NaTaCl6 | PBE | relaxed

Cell: 7.4099 7.4099 7.4099 Å, 60.00 60.00 60.00°
With the nearest neighbours (Å) after each atom.
Atoms (fractional coordinates):
Rb 0.2500 0.2500 0.2500  12 Cl 3.71
Rb 0.7500 0.7500 0.7500  12 Cl 3.71
Na 0.0000 0.0000 0.0000  6 Cl 2.76
Ta 0.5000 0.5000 0.5000  6 Cl 2.48
Cl 0.2632 0.2632 0.7368  1 Ta 2.48, 1 Na 2.76
Cl 0.2632 0.7368 0.2632  1 Ta 2.48, 1 Na 2.76
Cl 0.2632 0.7368 0.7368  1 Ta 2.48, 1 Na 2.76
Cl 0.7368 0.2632 0.2632  1 Ta 2.48, 1 Na 2.76
Cl 0.7368 0.2632 0.7368  1 Ta 2.48, 1 Na 2.76
Cl 0.7368 0.7368 0.2632  1 Ta 2.48, 1 Na 2.76

Computed properties:
- energy with MP2020 corrections (eV per cell) = -45.45
- SG = Fm-3m (225)
- energy relative to the elements (eV/atom) = -1.922
- final energy (eV per cell) = -41.77



# 7
CeCu4P2 | PBE | relaxed

Cell: 10.9156 14.7173 3.8452 Å, 90.00 90.00 90.00°
With the nearest neighbours (Å) after each atom.
Atoms (fractional coordinates):
Ce 0.0000 0.0000 0.0000  6 P 2.93-2.96, 10 Cu 3.09-3.27
Ce 0.1220 0.2730 0.0000  6 P 2.88-3.04, 7 Cu 3.07-3.23
Ce 0.3780 0.7730 0.5000  6 P 2.88-3.04, 7 Cu 3.07-3.23
Ce 0.5000 0.5000 0.5000  6 P 2.93-2.96, 10 Cu 3.09-3.27
Ce 0.6220 0.2270 0.5000  6 P 2.88-3.04, 7 Cu 3.07-3.23
Ce 0.8780 0.7270 0.0000  6 P 2.88-3.04, 7 Cu 3.07-3.23
Cu 0.0711 0.5618 0.0000  5 Cu 2.39-2.59, 2 P 2.45
Cu 0.0779 0.8301 0.5000  4 P 2.39-2.45, 1 Cu 2.61
Cu 0.1028 0.4466 0.5000  2 P 2.38-2.39, 5 Cu 2.59-2.63
Cu 0.1744 0.7127 0.0000  4 P 2.32-2.58, 1 Cu 2.49
Cu 0.2343 0.9645 0.5000  3 P 2.40-2.52, 6 Cu 2.56-2.66
Cu 0.2436 0.5886 0.5000  3 P 2.33-2.41, 1 Cu 2.59
Cu 0.2564 0.0886 0.0000  3 P 2.33-2.41, 1 Cu 2.59
Cu 0.2657 0.4645 0.0000  3 P 2.40-2.52, 6 Cu 2.56-2.66
Cu 0.3256 0.2127 0.5000  4 P 2.32-2.58, 1 Cu 2.49
Cu 0.3972 0.9466 0.0000  2 P 2.38-2.39, 5 Cu 2.59-2.63
Cu 0.4221 0.3301 0.0000  4 P 2.39-2.45, 1 Cu 2.61
Cu 0.4289 0.0618 0.5000  5 Cu 2.39-2.59, 2 P 2.45
Cu 0.5711 0.9382 0.5000  5 Cu 2.39-2.59, 2 P 2.45
Cu 0.5779 0.6699 0.0000  4 P 2.39-2.45, 1 Cu 2.61
Cu 0.6028 0.0534 0.0000  2 P 2.38-2.39, 5 Cu 2.59-2.63
Cu 0.6744 0.7873 0.5000  4 P 2.32-2.58, 1 Cu 2.49
Cu 0.7343 0.5355 0.0000  3 P 2.40-2.52, 6 Cu 2.56-2.66
Cu 0.7436 0.9114 0.0000  3 P 2.33-2.41, 1 Cu 2.59
Cu 0.7564 0.4114 0.5000  3 P 2.33-2.41, 1 Cu 2.59
Cu 0.7657 0.0355 0.5000  3 P 2.40-2.52, 6 Cu 2.56-2.66
Cu 0.8256 0.2873 0.0000  4 P 2.32-2.58, 1 Cu 2.49
Cu 0.8972 0.5534 0.5000  2 P 2.38-2.39, 5 Cu 2.59-2.63
Cu 0.9221 0.1699 0.5000  4 P 2.39-2.45, 1 Cu 2.61
Cu 0.9289 0.4382 0.0000  5 Cu 2.39-2.59, 2 P 2.45
P 0.0560 0.6646 0.5000  7 Cu 2.33-2.45
P 0.1284 0.1164 0.5000  5 Cu 2.39-2.58
P 0.2054 0.8688 0.0000  6 Cu 2.32-2.44
P 0.2946 0.3688 0.5000  6 Cu 2.32-2.44
P 0.3716 0.6164 0.0000  5 Cu 2.39-2.58
P 0.4440 0.1646 0.0000  7 Cu 2.33-2.45
P 0.5560 0.8354 0.0000  7 Cu 2.33-2.45
P 0.6284 0.3836 0.0000  5 Cu 2.39-2.58
P 0.7054 0.6312 0.5000  6 Cu 2.32-2.44
P 0.7946 0.1312 0.0000  6 Cu 2.32-2.44
P 0.8716 0.8836 0.5000  5 Cu 2.39-2.58
P 0.9440 0.3354 0.5000  7 Cu 2.33-2.45

Computed properties:
- SG = Pnnm (58)
- energy relative to the elements (eV/atom) = -0.520
- final energy (eV per cell) = -220.79



# 8
Tm3Sn | PBE | relaxed

Cell: 6.7554 6.7554 5.4880 Å, 90.00 90.00 120.00°
With the nearest neighbours (Å) after each atom.
Atoms (fractional coordinates):
Tm 0.1696 0.3392 0.2500  8 Tm 3.32-3.44, 4 Sn 3.35-3.38
Tm 0.1696 0.8304 0.2500  8 Tm 3.32-3.44, 4 Sn 3.35-3.38
Tm 0.3392 0.1696 0.7500  8 Tm 3.32-3.44, 4 Sn 3.35-3.38
Tm 0.6608 0.8304 0.2500  8 Tm 3.32-3.44, 4 Sn 3.35-3.38
Tm 0.8304 0.1696 0.7500  8 Tm 3.32-3.44, 4 Sn 3.35-3.38
Tm 0.8304 0.6608 0.7500  8 Tm 3.32-3.44, 4 Sn 3.35-3.38
Sn 0.3333 0.6667 0.7500  12 Tm 3.35-3.38
Sn 0.6667 0.3333 0.2500  12 Tm 3.35-3.38

Computed properties:
- SG = P6_3/mmc (194)
- energy relative to the elements (eV/atom) = -0.370
- final energy (eV per cell) = -37.84